No. 1
Density functional theory data (PBE) for a relaxed structure of LuScCu2.

Unit cell a=4.7225 b=4.7225 c=4.7225 alpha=60.00 beta=60.00 gamma=60.00
With the nearest neighbours (Å) after each atom.
Fractional coordinates of all 4 atoms:
Lu  0.5000  0.5000  0.5000  8 Cu 2.89
Cu  0.7500  0.7500  0.7500  4 Sc 2.89, 4 Lu 2.89
Cu  0.2500  0.2500  0.2500  4 Lu 2.89, 4 Sc 2.89
Sc  0.0000  0.0000  0.0000  8 Cu 2.89

Properties
Formation enthalpy at 0 K, eV per atom: -0.28

***

No. 2
Density functional theory data (PBE) for a relaxed structure of LuCuSe2.

Unit cell a=4.0650 b=4.0650 c=6.3756 alpha=90.00 beta=90.00 gamma=120.00
With the nearest neighbours (Å) after each atom.
Fractional coordinates of all 4 atoms:
Cu  0.6667  0.3333  0.1780  4 Se 2.44-2.49
Se  0.3333  0.6667  0.0722  3 Cu 2.44
Se  0.6667  0.3333  0.5683  1 Cu 2.49, 3 Lu 2.78
Lu  0.0000  0.0000  0.8007  6 Se 2.78-2.92

Properties
Formation enthalpy at 0 K, eV per atom: -1.42

***

No. 3
Density functional theory data (PBE) for a relaxed structure of LuCu2Si2.

Unit cell a=5.7147 b=5.7147 c=5.7147 alpha=139.97 beta=139.97 gamma=57.89
With the nearest neighbours (Å) after each atom.
Fractional coordinates of all 5 atoms:
Si  0.6157  0.6157  0.0000  1 Si 2.31, 4 Cu 2.37
Cu  0.7500  0.2500  0.5000  4 Si 2.37
Cu  0.2500  0.7500  0.5000  4 Si 2.37
Si  0.3843  0.3843  0.0000  1 Si 2.31, 4 Cu 2.37
Lu  0.0000  0.0000  0.0000  8 Si 3.00, 8 Cu 3.17

Properties
Formation enthalpy at 0 K, eV per atom: -0.52

***

No. 4
Density functional theory data (PBE) for a relaxed structure of Lu3Cu4Si4.

Unit cell a=4.0724 b=6.4654 c=7.7343 alpha=114.71 beta=105.26 gamma=90.00
With the nearest neighbours (Å) after each atom.
Fractional coordinates of all 11 atoms:
Cu  0.3302  0.1388  0.6604  4 Si 2.42-2.51, 1 Cu 2.47
Lu  0.0000  0.5000  0.0000  6 Si 2.87-2.92
Si  0.5000  0.8136  0.0000  1 Si 2.41, 2 Cu 2.42
Cu  0.6698  0.8612  0.3396  4 Si 2.42-2.51, 1 Cu 2.47
Si  0.7829  0.2829  0.5658  6 Cu 2.47-2.51
Lu  0.1276  0.1276  0.2552  6 Cu 2.91-2.99, 6 Si 2.92
Si  0.5000  0.1864  0.0000  1 Si 2.41, 2 Cu 2.42
Lu  0.8724  0.8724  0.7448  6 Cu 2.91-2.99, 6 Si 2.92
Si  0.2171  0.7171  0.4342  6 Cu 2.47-2.51
Cu  0.3302  0.5216  0.6604  4 Si 2.42-2.51, 1 Cu 2.47
Cu  0.6698  0.4784  0.3396  4 Si 2.42-2.51, 1 Cu 2.47

Properties
Formation enthalpy at 0 K, eV per atom: -0.60

***

No. 5
Density functional theory data (PBE) for a relaxed structure of Lu3Cu11Si4.

Unit cell a=8.3207 b=8.3207 c=8.5200 alpha=90.00 beta=90.00 gamma=120.00
With the nearest neighbours (Å) after each atom.
Fractional coordinates of all 36 atoms:
Lu  0.6020  0.8010  0.2500  5 Si 2.87-3.07, 10 Cu 2.90-2.98
Cu  0.4356  0.8711  0.7500  2 Si 2.32, 4 Cu 2.55-2.56
Cu  0.4356  0.5644  0.7500  2 Si 2.32, 4 Cu 2.55-2.56
Cu  0.3333  0.6667  0.5047  3 Si 2.40, 3 Cu 2.56
Si  0.0000  0.5000  0.5000  4 Cu 2.32-2.40
Cu  0.3333  0.6667  0.9953  3 Si 2.40, 3 Cu 2.56
Si  0.5000  0.5000  0.5000  4 Cu 2.32-2.40
Si  0.5000  0.0000  0.0000  4 Cu 2.32-2.40
Si  0.0000  0.0000  0.7500  6 Cu 2.57, 3 Lu 2.87
Lu  0.1990  0.8010  0.2500  5 Si 2.87-3.07, 10 Cu 2.90-2.98
Cu  0.1512  0.3024  0.5903  3 Si 2.57-2.64, 6 Cu 2.65-2.72
Lu  0.3980  0.1990  0.7500  5 Si 2.87-3.07, 10 Cu 2.90-2.98
Si  0.0000  0.0000  0.2500  6 Cu 2.57, 3 Lu 2.87
Cu  0.8488  0.6976  0.0903  3 Si 2.57-2.64, 6 Cu 2.65-2.72
Cu  0.6667  0.3333  0.4953  3 Si 2.40, 3 Cu 2.56
Si  0.5000  0.0000  0.5000  4 Cu 2.32-2.40
Cu  0.1512  0.8488  0.5903  3 Si 2.57-2.64, 6 Cu 2.65-2.72
Cu  0.1512  0.8488  0.9097  3 Si 2.57-2.64, 6 Cu 2.65-2.72
Si  0.5000  0.5000  0.0000  4 Cu 2.32-2.40
Cu  0.8488  0.1512  0.0903  3 Si 2.57-2.64, 6 Cu 2.65-2.72
Si  0.0000  0.5000  0.0000  4 Cu 2.32-2.40
Cu  0.8488  0.1512  0.4097  3 Si 2.57-2.64, 6 Cu 2.65-2.72
Lu  0.8010  0.1990  0.7500  5 Si 2.87-3.07, 10 Cu 2.90-2.98
Cu  0.3024  0.1512  0.0903  3 Si 2.57-2.64, 6 Cu 2.65-2.72
Lu  0.1990  0.3980  0.2500  5 Si 2.87-3.07, 10 Cu 2.90-2.98
Cu  0.3024  0.1512  0.4097  3 Si 2.57-2.64, 6 Cu 2.65-2.72
Cu  0.6976  0.8488  0.5903  3 Si 2.57-2.64, 6 Cu 2.65-2.72
Cu  0.8711  0.4356  0.2500  2 Si 2.32, 4 Cu 2.55-2.56
Cu  0.1289  0.5644  0.7500  2 Si 2.32, 4 Cu 2.55-2.56
Cu  0.6976  0.8488  0.9097  3 Si 2.57-2.64, 6 Cu 2.65-2.72
Lu  0.8010  0.6020  0.7500  5 Si 2.87-3.07, 10 Cu 2.90-2.98
Cu  0.5644  0.4356  0.2500  2 Si 2.32, 4 Cu 2.55-2.56
Cu  0.8488  0.6976  0.4097  3 Si 2.57-2.64, 6 Cu 2.65-2.72
Cu  0.5644  0.1289  0.2500  2 Si 2.32, 4 Cu 2.55-2.56
Cu  0.6667  0.3333  0.0047  3 Si 2.40, 3 Cu 2.56
Cu  0.1512  0.3024  0.9097  3 Si 2.57-2.64, 6 Cu 2.65-2.72

Properties
Formation enthalpy at 0 K, eV per atom: -0.32

***

No. 6
Density functional theory data (PBE) for a relaxed structure of LuCuSn.

Unit cell a=4.4933 b=4.4933 c=7.1216 alpha=90.00 beta=90.00 gamma=120.00
With the nearest neighbours (Å) after each atom.
Fractional coordinates of all 6 atoms:
Cu  0.3333  0.6667  0.3259  4 Sn 2.68-2.87, 3 Lu 2.87
Sn  0.6667  0.3333  0.2291  4 Cu 2.68-2.87
Cu  0.6667  0.3333  0.8259  4 Sn 2.68-2.87, 3 Lu 2.87
Lu  0.0000  0.0000  0.4975  3 Cu 2.87, 3 Sn 3.07
Sn  0.3333  0.6667  0.7291  4 Cu 2.68-2.87
Lu  0.0000  0.0000  0.9975  3 Cu 2.87, 3 Sn 3.07

Properties
Formation enthalpy at 0 K, eV per atom: -0.56